# 1
Crystalline MgNi2Sb4O12 at its relaxed geometry, computed with PBE+U.

Summary:
E, eV per formula unit: -107.98
Symmetry: No. 8
Size of the total moment, μB per cell: 4.00
Total energy after the MP2020 corrections, eV/f.u.: -121.31
Excess energy over the best structure of this formula in the dataset, meV/atom: 23

```
19
Lattice="4.1774 -3.3123 0.0000 4.1774 3.3123 0.0000 -0.9081 0.0000 9.4507" Properties=species:S:1:pos:R:3 pbc="T T T"
Mg 0.0000 0.0000 0.0000
Ni 2.2653 0.0000 1.5146
Ni 5.2250 0.0000 6.1632
Sb 0.8880 0.0000 4.3569
Sb 1.5377 0.0000 7.4600
Sb 4.6150 0.0000 9.3277
Sb 5.7146 0.0000 3.0200
O 1.3227 1.2687 5.8613
O 1.5934 1.2539 2.9724
O 5.6062 1.9899 0.0351
O 1.5934 -1.2539 2.9724
O 1.3227 -1.2687 5.8613
O 3.5551 0.0000 7.5986
O 4.2636 0.0000 1.4721
O 4.3864 0.0000 4.3822
O 6.1292 0.0000 8.0324
O 6.9252 0.0000 1.4145
O 7.3080 0.0000 4.3194
O 5.6062 -1.9899 0.0351
```



# 2
Crystalline Li3Fe2Si2O8 at its relaxed geometry, computed with PBE+U.

Summary:
E, eV per formula unit: -100.55
Symmetry: No. 1
Size of the total moment, μB per cell: 18.00
Total energy after the MP2020 corrections, eV/f.u.: -110.56
Excess energy over the best structure of this formula in the dataset, meV/atom: 26

```
30
Lattice="5.1701 0.0000 0.0000 -0.0260 6.6149 0.0000 -0.1021 -0.0151 10.5655" Properties=species:S:1:pos:R:3 pbc="T T T"
Li 0.0000 0.0000 0.0000
Li -0.0617 3.2686 5.3459
Li 2.4079 6.5934 3.3576
Li 2.3783 3.2947 8.6693
Li 2.9913 4.9021 6.1489
Li 3.0723 4.9596 0.7674
Fe -0.1107 3.1430 10.3722
Fe 2.4321 3.1931 3.4244
Fe 2.4405 0.0318 8.7544
Fe 5.0614 0.0338 5.2072
Si 2.5015 1.6402 0.7588
Si 2.4651 1.6368 6.0614
Si 4.9737 4.9924 7.9549
Si 5.0351 4.8794 2.6637
O 0.0613 5.0562 6.2641
O 0.1223 4.8958 1.0672
O 0.4151 6.2303 3.4459
O 0.4382 3.6142 8.5333
O 0.4234 6.2873 8.6867
O 0.5820 3.6190 3.4658
O 0.8975 1.5828 0.5016
O 0.8619 1.5733 5.6535
O 2.7900 1.6662 2.4133
O 2.7494 1.7014 7.6282
O 3.0844 3.0433 0.0912
O 3.0514 3.0017 5.2701
O 3.1788 0.2643 0.1475
O 3.1389 0.2768 5.3180
O 3.3678 4.8003 2.8983
O 3.3128 4.9661 8.0582
```



# 3
Crystalline Li2CoPHO5 at its relaxed geometry, computed with PBE+U.

Summary:
E, eV per formula unit: -61.43
Size of the total moment, μB per cell: 0.00
Total energy after the MP2020 corrections, eV/f.u.: -66.51

```
40
Lattice="2.3468 -3.9183 -3.0847 5.3744 3.9630 3.4592 -4.3918 -6.9936 6.8845" Properties=species:S:1:pos:R:3 pbc="T T T"
O 3.5783 0.1190 2.4817
O 2.1734 -5.0131 4.0870
O 3.6701 -3.0545 4.8160
O 1.3824 -3.3796 5.9230
O 1.1560 -1.9357 3.1721
O -0.3407 -3.8944 2.4430
O -2.5369 -7.3924 5.8838
O 3.2505 -5.0012 6.3564
O 4.3698 -1.5155 0.6466
O 5.4457 -1.5024 2.9165
O -2.1164 -5.4464 4.3425
O 5.8662 0.4436 1.3752
O 0.0011 -3.7568 8.6552
O 3.3282 -3.1920 -1.3961
O 0.0789 -1.9476 0.9026
O 2.1975 -0.2598 5.2139
O 1.1319 -6.6890 2.0452
O -0.2490 -7.0678 4.7774
O 1.9469 -3.5692 1.3360
O -1.0404 -5.4333 6.6124
H 1.5528 -0.0036 2.0073
H 3.9721 -3.4485 1.8113
H 1.7766 -6.9452 5.2517
H -0.6427 -3.5003 5.4477
Li 2.5282 -1.9911 -0.0562
Li 3.6969 1.0063 4.2802
Li 0.8011 -4.9578 7.3152
Li 1.8279 -4.4555 -0.4622
Li 1.5014 -2.4932 7.7212
Li 2.9985 -1.4600 3.8750
Li -0.3676 -7.9551 2.9789
Li 0.3309 -5.4889 3.3840
P -1.4770 -6.3565 5.4301
P 2.6104 -4.0907 5.2696
P 0.7189 -2.8581 1.9894
P 4.8064 -0.5923 1.8289
Co 2.6872 1.9815 1.7296
Co 5.3744 3.9630 3.4592
Co 0.4913 -1.5153 5.1719
Co -2.1959 -3.4968 3.4422
```



# 4
Crystalline Li2Cr2FeSbO8 at its relaxed geometry, computed with PBE+U.

Summary:
E, eV per formula unit: -94.18
Symmetry: No. 8
Size of the total moment, μB per cell: 22.00
Total energy after the MP2020 corrections, eV/f.u.: -105.93
Excess energy over the best structure of this formula in the dataset, meV/atom: 0

```
28
Lattice="5.1935 -2.9894 0.0000 5.1935 2.9894 0.0000 -0.0299 0.0000 9.6507" Properties=species:S:1:pos:R:3 pbc="T T T"
Li 0.0000 0.0000 0.0000
Li -0.0135 0.0000 4.8170
Li 3.4330 0.0000 8.7565
Li 6.9053 0.0000 3.9602
Cr 1.7767 0.0000 2.1388
Cr 6.0530 1.4648 6.9685
Cr 6.0530 -1.4648 6.9685
Cr 8.5974 0.0000 6.9703
Fe 4.3086 1.4633 2.1417
Fe 4.3086 -1.4633 2.1417
Sb 3.4396 0.0000 4.7994
Sb 6.8957 0.0000 9.5983
O -0.0082 0.0000 3.0054
O 10.3621 0.0000 7.8562
O 2.6663 1.3155 3.4134
O 4.3078 1.5074 5.8316
O 1.6982 0.0000 5.8349
O 6.0659 1.4943 1.0012
O 3.4767 0.0000 1.1026
O 2.6663 -1.3155 3.4134
O 4.9807 0.0000 3.4500
O 7.6637 1.3265 8.2140
O 5.3631 0.0000 8.2176
O 6.9044 0.0000 5.9563
O 4.3078 -1.5074 5.8316
O 8.6386 0.0000 0.9977
O 6.0659 -1.4943 1.0012
O 7.6637 -1.3265 8.2140
```